VASP calculation (GGA-PBE) on a relaxed Ce2Ga5Cu3 crystal.

a b c (Å): 4.226 4.226 10.209
angles (deg): 90.00 90.00 90.00
Fractional coordinates of all 10 atoms:
Ce  0.500  0.000  0.746
Ce  0.000  0.500  0.254
Ga  0.000  0.500  0.865
Ga  0.500  0.000  0.378
Ga  0.500  0.000  0.135
Ga  0.000  0.500  0.622
Ga  0.500  0.500  0.000
Cu  0.000  0.000  0.500
Cu  0.000  0.000  0.000
Cu  0.500  0.500  0.500

E_form = -426.0 meV per atom
Crystal system = tetragonal

VASP calculation (GGA-PBE) on a relaxed BiPbBrO2 crystal.

a b c (Å): 7.180 7.180 7.180
angles (deg): 147.57 147.57 46.52
Fractional coordinates of all 5 atoms:
Bi  0.340  0.340  0.000
Pb  0.652  0.652  0.000
Br  0.994  0.994  0.000
O  0.757  0.257  0.500
O  0.257  0.757  0.500

E_form = -1481.5 meV per atom
Corrected total energy (MP2020 scheme) = -26.5 eV per cell
Crystal system = tetragonal
Magnetization = 0.00 μB/cell

VASP calculation (GGA-PBE) on a relaxed MgTi2Si2O8 crystal.

a b c (Å): 5.032 5.032 6.281
angles (deg): 93.54 86.46 112.03
Fractional coordinates of all 13 atoms:
Mg  0.500  0.500  0.500
Ti  0.000  0.000  0.500
Ti  0.000  0.000  0.000
Si  0.665  0.335  0.796
Si  0.335  0.665  0.204
O  0.770  0.230  0.564
O  0.230  0.770  0.436
O  0.768  0.232  0.997
O  0.232  0.768  0.003
O  0.767  0.692  0.756
O  0.692  0.767  0.244
O  0.233  0.308  0.244
O  0.308  0.233  0.756

E_form = -2937.1 meV per atom
Corrected total energy (MP2020 scheme) = -106.0 eV per cell
Crystal system = monoclinic
Magnetization = 0.00 μB/cell

VASP calculation (GGA-PBE) on a relaxed La2ZnAs2O crystal.

a b c (Å): 3.503 3.503 14.937
angles (deg): 90.00 90.00 90.00
Fractional coordinates of all 6 atoms:
La  0.500  0.500  0.641
La  0.500  0.500  0.359
Zn  0.500  0.500  0.000
As  0.500  0.500  0.156
As  0.500  0.500  0.844
O  0.500  0.500  0.500

E_form = -544.1 meV per atom
Corrected total energy (MP2020 scheme) = -28.7 eV per cell
Crystal system = tetragonal
Magnetization = 0.83 μB/cell

VASP calculation (GGA-PBE) on a relaxed SrCeEuNbO6 crystal.

a b c (Å): 5.871 6.093 8.443
angles (deg): 89.85 90.57 89.93
Fractional coordinates of all 20 atoms:
Sr  0.982  0.061  0.252
Sr  0.018  0.939  0.748
Ce  0.000  0.500  0.000
Ce  0.500  0.000  0.500
Eu  0.519  0.563  0.248
Eu  0.481  0.437  0.752
Nb  0.500  0.000  0.000
Nb  0.000  0.500  0.500
O  0.217  0.188  0.945
O  0.286  0.685  0.556
O  0.783  0.812  0.055
O  0.714  0.315  0.444
O  0.321  0.714  0.945
O  0.182  0.217  0.555
O  0.679  0.286  0.055
O  0.818  0.783  0.445
O  0.399  0.971  0.233
O  0.107  0.474  0.267
O  0.601  0.029  0.767
O  0.893  0.526  0.733

E_form = -3381.3 meV per atom
Corrected total energy (MP2020 scheme) = -183.0 eV per cell
Crystal system = triclinic
Magnetization = 11.89 μB/cell

VASP calculation (GGA-PBE) on a relaxed NaCu5Se2Cl3O8 crystal.

a b c (Å): 6.494 10.648 18.072
angles (deg): 90.00 90.00 90.00
Fractional coordinates of all 76 atoms:
Na  0.250  0.764  0.906
Na  0.250  0.736  0.406
Na  0.750  0.236  0.094
Na  0.750  0.264  0.594
Cu  0.250  0.000  0.098
Cu  0.250  0.500  0.598
Cu  0.750  0.000  0.902
Cu  0.750  0.500  0.402
Cu  0.250  0.502  0.133
Cu  0.250  0.998  0.633
Cu  0.750  0.498  0.867
Cu  0.750  0.002  0.367
Cu  0.250  0.219  0.220
Cu  0.250  0.281  0.720
Cu  0.750  0.781  0.780
Cu  0.750  0.719  0.280
Cu  0.005  0.959  0.237
Cu  0.495  0.541  0.737
Cu  0.505  0.041  0.763
Cu  0.995  0.459  0.263
Cu  0.995  0.041  0.763
Cu  0.505  0.459  0.263
Cu  0.495  0.959  0.237
Cu  0.005  0.541  0.737
Se  0.250  0.076  0.931
Se  0.250  0.424  0.431
Se  0.750  0.924  0.069
Se  0.750  0.576  0.569
Se  0.750  0.583  0.117
Se  0.750  0.917  0.617
Se  0.250  0.417  0.883
Se  0.250  0.083  0.383
Cl  0.250  0.245  0.090
Cl  0.250  0.255  0.590
Cl  0.750  0.755  0.910
Cl  0.750  0.745  0.410
Cl  0.250  0.631  0.037
Cl  0.250  0.869  0.537
Cl  0.750  0.369  0.963
Cl  0.750  0.131  0.463
Cl  0.250  0.736  0.255
Cl  0.250  0.764  0.755
Cl  0.750  0.264  0.745
Cl  0.750  0.236  0.245
O  0.750  0.899  0.274
O  0.750  0.601  0.774
O  0.250  0.101  0.726
O  0.250  0.399  0.226
O  0.250  0.040  0.203
O  0.250  0.460  0.703
O  0.750  0.960  0.797
O  0.750  0.540  0.297
O  0.950  0.489  0.153
O  0.550  0.011  0.653
O  0.450  0.511  0.847
O  0.050  0.989  0.347
O  0.050  0.511  0.847
O  0.450  0.989  0.347
O  0.550  0.489  0.153
O  0.950  0.011  0.653
O  0.250  0.954  0.993
O  0.250  0.546  0.493
O  0.750  0.046  0.007
O  0.750  0.454  0.507
O  0.750  0.713  0.171
O  0.750  0.787  0.671
O  0.250  0.287  0.829
O  0.250  0.213  0.329
O  0.047  0.025  0.874
O  0.453  0.475  0.374
O  0.547  0.975  0.126
O  0.953  0.525  0.626
O  0.953  0.975  0.126
O  0.547  0.525  0.626
O  0.453  0.025  0.874
O  0.047  0.475  0.374

E_form = -1034.9 meV per atom
Corrected total energy (MP2020 scheme) = -374.4 eV per cell
Crystal system = orthorhombic
Magnetization = 4.00 μB/cell